Here is Na3TlF6 after structural relaxation from the Materials Project database. Energies are from PBE-GGA.

The value obtained for the energy is -161.32 eV per cell. The magnetic moment comes out at 0.000 μB per atom. The value obtained for the MP2020-corrected energy is -43.10 eV/f.u. The formation energy comes out at -2528 meV/atom.

The structure belongs to space group Fm-3m (No. 225); the cell edges are 8.752, 8.752 and 8.752 Å and the angles 90.00°, 90.00° and 90.00°. The distinct sites, in fractional coordinates, are Na at (0.000, 0.000, 0.000), Na at (0.250, 0.250, 0.250), Tl at (0.000, 0.000, 0.500) and F at (0.000, 0.000, 0.252).